No. 1
Li4V3Fe3W2O16: optimized geometry, PBE+U.

Calculated values
As for the space group: Cm, No. 8. The formation energy comes out at -2.2043 eV per atom. As for the total energy: -0.5128 Ry per atom. The calculation puts the theoretical density at 5.2 g cm⁻³. The value obtained for the energy above the most stable polymorph in this dataset is 0.000 eV/atom. For the total magnetization, the calculation gives 17.000 μB/f.u.

a b c (Å): 6.048 6.048 9.820
angles (deg): 89.18 89.18 60.05
Positions (direct):
O (0.647, 0.167, 0.088)
O (0.537, 0.961, 0.352)
O (0.494, 0.042, 0.852)
O (0.345, 0.818, 0.585)
O (0.684, 0.684, 0.112)
O (0.825, 0.825, 0.593)
O (0.337, 0.337, 0.608)
O (0.996, 0.996, 0.800)
O (0.167, 0.647, 0.088)
O (0.818, 0.345, 0.585)
O (0.961, 0.537, 0.352)
O (0.042, 0.494, 0.852)
O (0.525, 0.525, 0.358)
O (0.170, 0.170, 0.081)
O (0.987, 0.987, 0.297)
O (0.480, 0.480, 0.848)
W (0.663, 0.663, 0.489)
W (0.329, 0.329, 0.989)
Fe (0.827, 0.337, 0.212)
Fe (0.169, 0.169, 0.711)
Fe (0.337, 0.827, 0.212)
V (0.824, 0.824, 0.222)
V (0.166, 0.654, 0.716)
V (0.654, 0.166, 0.716)
Li (0.998, 0.998, 0.488)
Li (0.670, 0.670, 0.905)
Li (0.997, 0.997, 0.989)
Li (0.338, 0.338, 0.406)


No. 2
Li3Fe3W2O12: optimized geometry, PBE+U.

Calculated values
As for the space group: P2_1/c, No. 14. The formation energy comes out at -2.0144 eV per atom. As for the total energy: -0.4881 Ry per atom. The calculation puts the theoretical density at 4.7 g cm⁻³. For the total magnetization, the calculation gives 14.999 μB/f.u.

a b c (Å): 9.343 9.039 15.264
angles (deg): 55.34 90.00 90.00
Positions (direct):
Fe (0.754, 0.543, 0.487)
Fe (0.246, 0.457, 0.513)
Fe (0.379, 0.023, 0.367)
Fe (0.621, 0.977, 0.633)
Fe (0.746, 0.543, 0.987)
Fe (0.882, 0.264, 0.351)
Fe (0.254, 0.457, 0.013)
Fe (0.618, 0.264, 0.851)
Fe (0.121, 0.023, 0.867)
Fe (0.879, 0.977, 0.133)
Fe (0.118, 0.736, 0.649)
Fe (0.382, 0.736, 0.149)
W (0.029, 0.873, 0.378)
W (0.518, 0.364, 0.389)
W (0.982, 0.364, 0.889)
W (0.529, 0.127, 0.122)
W (0.471, 0.873, 0.878)
W (0.971, 0.127, 0.622)
W (0.018, 0.636, 0.111)
W (0.482, 0.636, 0.611)
O (0.983, 0.482, 0.266)
O (0.295, 0.007, 0.811)
O (0.518, 0.113, 0.258)
O (0.930, 0.149, 0.496)
O (0.890, 0.360, 0.570)
O (0.664, 0.775, 0.918)
O (0.945, 0.220, 0.043)
O (0.576, 0.109, 0.806)
O (0.705, 0.993, 0.189)
O (0.605, 0.822, 0.589)
O (0.105, 0.178, 0.911)
O (0.645, 0.547, 0.383)
O (0.395, 0.178, 0.411)
O (0.055, 0.780, 0.957)
O (0.821, 0.275, 0.850)
O (0.483, 0.518, 0.234)
O (0.610, 0.360, 0.070)
O (0.924, 0.109, 0.306)
O (0.836, 0.775, 0.418)
O (0.390, 0.640, 0.930)
O (0.795, 0.993, 0.689)
O (0.145, 0.453, 0.117)
O (0.679, 0.275, 0.350)
O (0.570, 0.149, 0.996)
O (0.018, 0.887, 0.242)
O (0.864, 0.501, 0.101)
O (0.110, 0.640, 0.430)
O (0.555, 0.220, 0.543)
O (0.482, 0.887, 0.742)
O (0.364, 0.499, 0.399)
O (0.895, 0.822, 0.089)
O (0.517, 0.482, 0.766)
O (0.017, 0.518, 0.734)
O (0.636, 0.501, 0.601)
O (0.424, 0.891, 0.194)
O (0.855, 0.547, 0.883)
O (0.076, 0.891, 0.694)
O (0.136, 0.499, 0.899)
O (0.355, 0.453, 0.617)
O (0.070, 0.851, 0.504)
O (0.336, 0.225, 0.082)
O (0.982, 0.113, 0.758)
O (0.321, 0.725, 0.650)
O (0.205, 0.007, 0.311)
O (0.164, 0.225, 0.582)
O (0.179, 0.725, 0.150)
O (0.430, 0.851, 0.004)
O (0.445, 0.780, 0.457)
Li (0.413, 0.635, 0.799)
Li (0.913, 0.365, 0.701)
Li (0.015, 0.722, 0.847)
Li (0.721, 0.999, 0.318)
Li (0.279, 0.001, 0.682)
Li (0.779, 0.999, 0.818)
Li (0.221, 0.001, 0.182)
Li (0.515, 0.278, 0.653)
Li (0.087, 0.635, 0.299)
Li (0.985, 0.278, 0.153)
Li (0.587, 0.365, 0.201)
Li (0.485, 0.722, 0.347)


No. 3
Li2FeWO6: optimized geometry, PBE+U.

Calculated values
The formation energy comes out at -1.9857 eV per atom. As for the total energy: -0.4702 Ry per atom. The calculation puts the theoretical density at 5.6 g cm⁻³. For the total magnetization, the calculation gives 0.000 μB/f.u.

a b c (Å): 5.068 7.592 5.388
angles (deg): 85.51 90.04 89.21
Positions (direct):
Li (0.498, 0.787, 0.081)
Li (0.500, 0.286, 0.073)
Li (0.998, 0.287, 0.582)
Li (0.000, 0.786, 0.573)
Fe (0.501, 0.505, 0.504)
Fe (0.001, 0.005, 0.004)
O (0.320, 0.550, 0.175)
O (0.308, 0.931, 0.800)
O (0.199, 0.928, 0.296)
O (0.808, 0.431, 0.300)
O (0.375, 0.238, 0.479)
O (0.616, 0.756, 0.481)
O (0.182, 0.552, 0.677)
O (0.682, 0.052, 0.177)
O (0.116, 0.256, 0.981)
O (0.819, 0.050, 0.675)
O (0.875, 0.738, 0.979)
O (0.698, 0.428, 0.796)
W (0.501, 0.003, 0.505)
W (0.001, 0.503, 0.005)


No. 4
Li7Fe3W2O16: optimized geometry, PBE+U.

Calculated values
As for the space group: Cm, No. 8. The formation energy comes out at -1.9324 eV per atom. As for the total energy: -0.4497 Ry per atom. The calculation puts the theoretical density at 4.8 g cm⁻³. For the total magnetization, the calculation gives 11.001 μB/f.u.

a b c (Å): 5.924 5.924 9.714
angles (deg): 89.39 89.39 59.33
Positions (direct):
Li (0.333, 0.333, 0.403)
Li (0.001, 0.001, 0.485)
Li (0.824, 0.337, 0.210)
Li (0.337, 0.824, 0.210)
Li (0.998, 0.998, 0.996)
Li (0.170, 0.170, 0.712)
Li (0.673, 0.673, 0.908)
O (0.651, 0.167, 0.088)
O (0.532, 0.964, 0.357)
O (0.515, 0.515, 0.358)
O (0.992, 0.992, 0.803)
O (0.347, 0.347, 0.614)
O (0.964, 0.532, 0.357)
O (0.828, 0.341, 0.590)
O (0.341, 0.828, 0.590)
O (0.485, 0.485, 0.842)
O (0.497, 0.043, 0.847)
O (0.043, 0.497, 0.847)
O (0.684, 0.684, 0.116)
O (0.834, 0.834, 0.598)
O (0.984, 0.984, 0.297)
O (0.169, 0.169, 0.075)
O (0.167, 0.651, 0.088)
Fe (0.662, 0.165, 0.715)
Fe (0.828, 0.828, 0.218)
Fe (0.165, 0.662, 0.715)
W (0.650, 0.650, 0.480)
W (0.328, 0.328, 0.991)